Record 1
{"formula": "K2Al2Si3O10", "functional": "PBE", "state": "relaxed", "cell": [[0.0000, 9.2754, 3.3270], [8.6476, 0.0000, 3.3270], [8.6476, 9.2754, 0.0000]], "species": ["K", "K", "K", "K", "Al", "Al", "Al", "Al", "Si", "Si", "Si", "Si", "Si", "Si", "O", "O", "O", "O", "O", "O", "O", "O", "O", "O", "O", "O", "O", "O", "O", "O", "O", "O", "O", "O"], "frac_coords": [[0.0214, 0.4786, 0.1037], [0.1463, 0.8537, 0.2286], [0.4786, 0.0214, 0.3963], [0.8537, 0.1463, 0.7714], [0.4147, 0.5399, 0.3896], [0.5399, 0.4147, 0.6557], [0.5943, 0.8604, 0.7101], [0.8604, 0.5943, 0.8353], [0.1006, 0.3686, 0.8428], [0.1086, 0.1086, 0.3914], [0.3686, 0.1006, 0.6880], [0.4072, 0.5620, 0.1494], [0.5620, 0.4072, 0.8814], [0.8586, 0.8586, 0.1414], [0.0768, 0.8814, 0.5617], [0.0980, 0.8998, 0.9529], [0.2007, 0.2971, 0.3502], [0.2238, 0.5039, 0.6060], [0.2779, 0.3848, 0.8268], [0.2971, 0.2007, 0.1520], [0.3325, 0.6060, 0.2838], [0.3848, 0.2779, 0.5104], [0.4232, 0.7396, 0.9721], [0.4724, 0.9662, 0.6440], [0.5039, 0.2238, 0.6662], [0.5838, 0.6440, 0.7461], [0.6060, 0.3325, 0.7776], [0.6440, 0.5838, 0.0262], [0.6883, 0.7700, 0.1732], [0.7396, 0.4232, 0.8652], [0.7700, 0.6883, 0.3686], [0.8814, 0.0768, 0.4800], [0.8998, 0.0980, 0.0493], [0.9662, 0.4724, 0.9175]], "volume_a3_per_atom": 15.698, "energy_ev_per_atom": -7.228}

***

Record 2
{"formula": "KAlSi3O8", "functional": "PBE", "state": "relaxed", "cell": [[7.3259, 0.0000, 0.0000], [-1.8021, 7.5096, 0.0000], [-2.0034, -3.6946, 6.8391]], "species": ["K", "K", "Al", "Al", "Si", "Si", "Si", "Si", "Si", "Si", "O", "O", "O", "O", "O", "O", "O", "O", "O", "O", "O", "O", "O", "O", "O", "O"], "frac_coords": [[0.1373, 0.2906, 0.2758], [0.8627, 0.7094, 0.7242], [0.2170, 0.8221, 0.1996], [0.7830, 0.1779, 0.8004], [0.2321, 0.1926, 0.8293], [0.3402, 0.5929, 0.8341], [0.3520, 0.8233, 0.5946], [0.6480, 0.1767, 0.4054], [0.6598, 0.4071, 0.1659], [0.7679, 0.8074, 0.1707], [0.0178, 0.1460, 0.8552], [0.2203, 0.6744, 0.9708], [0.2408, 0.9772, 0.6908], [0.2519, 0.7170, 0.3583], [0.2688, 0.3446, 0.7332], [0.2870, 0.6340, 0.6450], [0.4042, 0.0662, 0.3116], [0.4120, 0.3030, 0.0488], [0.5880, 0.6970, 0.9512], [0.5958, 0.9338, 0.6884], [0.7130, 0.3660, 0.3550], [0.7312, 0.6554, 0.2668], [0.7481, 0.2830, 0.6417], [0.7592, 0.0228, 0.3092], [0.7797, 0.3256, 0.0292], [0.9822, 0.8540, 0.1448]], "volume_a3_per_atom": 14.471, "energy_ev_per_atom": -7.494}

***

Record 3
{"formula": "KAl3Si3O12", "functional": "PBE", "state": "relaxed", "cell": [[5.2791, 0.0000, 0.0000], [-2.6395, 4.5718, 0.0000], [0.0000, 0.0000, 30.6818]], "species": ["K", "K", "K", "Al", "Al", "Al", "Al", "Al", "Al", "Al", "Al", "Al", "Si", "Si", "Si", "Si", "Si", "Si", "Si", "Si", "Si", "O", "O", "O", "O", "O", "O", "O", "O", "O", "O", "O", "O", "O", "O", "O", "O", "O", "O", "O", "O", "O", "O", "O", "O", "O", "O", "O", "O", "O", "O", "O", "O", "O", "O", "O", "O"], "frac_coords": [[0.2000, 0.7982, 0.0000], [0.2018, 0.4018, 0.3333], [0.5982, 0.8000, 0.6667], [0.2151, 0.4396, 0.8244], [0.2244, 0.7849, 0.4910], [0.5397, 0.4549, 0.0695], [0.5451, 0.0849, 0.4028], [0.5604, 0.7756, 0.1577], [0.5748, 0.1504, 0.8241], [0.5756, 0.4252, 0.4907], [0.8496, 0.4244, 0.1574], [0.9151, 0.4603, 0.7362], [0.2558, 0.1192, 0.5814], [0.2596, 0.1461, 0.7347], [0.5359, 0.4493, 0.9143], [0.5507, 0.0866, 0.2476], [0.8539, 0.1136, 0.0680], [0.8634, 0.7442, 0.2481], [0.8808, 0.1366, 0.9147], [0.8864, 0.7404, 0.4014], [0.9134, 0.4641, 0.5810], [0.0084, 0.8162, 0.7221], [0.0488, 0.2564, 0.5959], [0.1161, 0.7901, 0.6034], [0.1692, 0.3743, 0.7139], [0.1838, 0.1922, 0.0555], [0.2033, 0.5120, 0.1880], [0.2051, 0.8308, 0.3806], [0.2057, 0.7015, 0.1305], [0.2076, 0.9512, 0.2626], [0.2099, 0.3260, 0.9367], [0.2852, 0.0997, 0.5291], [0.2985, 0.5042, 0.4639], [0.3017, 0.1977, 0.7890], [0.3088, 0.7967, 0.8547], [0.4880, 0.6912, 0.5213], [0.4958, 0.7943, 0.7972], [0.4991, 0.3959, 0.8618], [0.4998, 0.1003, 0.4595], [0.5718, 0.2159, 0.7137], [0.5843, 0.3230, 0.6028], [0.6006, 0.5002, 0.1262], [0.6041, 0.1032, 0.1952], [0.6257, 0.7949, 0.0473], [0.6441, 0.4282, 0.3804], [0.6740, 0.8839, 0.2701], [0.6770, 0.2613, 0.9361], [0.7387, 0.4157, 0.2695], [0.7436, 0.7924, 0.9293], [0.7841, 0.3559, 0.0471], [0.8023, 0.1041, 0.1223], [0.8078, 0.9916, 0.3888], [0.8145, 0.7148, 0.1958], [0.8959, 0.6983, 0.4557], [0.8968, 0.5009, 0.5285], [0.9003, 0.1855, 0.8624], [0.8997, 0.3994, 0.7929]], "volume_a3_per_atom": 12.991, "energy_ev_per_atom": -7.243}

***

Number 2 is which compound?
KAlSi3O8